Material: LaAlO3
Method: DFT, PBE
State: optimized geometry

Lattice parameters (Å, degrees): 3.7958 5.8569 6.1960 107.35 94.26 107.06
Last column: nearest neighbours and their distance in Å.
Space group P1 (No. 1)
Symmetry-distinct sites (fractional):
La: 0.0000 0.0000 0.0000  4 O 2.28-2.52
La: 0.2547 0.3993 0.6934  6 O 2.33-2.52
Al: 0.4992 0.9278 0.3787  6 O 1.90-2.01
Al: 0.8168 0.5742 0.3862  5 O 1.78-1.90
O: 0.3208 0.5871 0.3754  3 Al 1.90
O: 0.4144 0.7563 0.0364  1 Al 2.01
O: 0.6247 0.1145 0.7076  1 Al 1.95
O: 0.6392 0.2293 0.2887  2 Al 1.82-1.95
O: 0.8609 0.6397 0.6891  1 Al 1.78
O: 0.9848 0.8990 0.3677  3 Al 1.86-1.90

Properties
- Energy relative to the elements: -3.494 eV per atom
- Corrected total energy (MP2020 scheme): -81.99 eV for the cell shown
- Spin magnetization: 0.0 μB/cell
- V: 61.85 Å³/f.u.